(1)
This record from the Materials Project describes HoTi2Ga4 after structural relaxation. The functional is PBE.

```
HoTi2Ga4
1.0
-3.383 3.383 2.728
3.383 -3.383 2.728
3.383 3.383 -2.728
Ho Ti Ga
1 2 4
direct
0.000 0.000 0.000
0.250 0.750 0.500
0.750 0.250 0.500
0.302 0.302 0.605
0.302 0.698 0.000
0.698 0.302 0.000
0.698 0.698 0.395
```

## Properties
Electronic total energy = -36.2 eV for the cell shown

(2)
This record from the Materials Project describes Ho2ZnGa after structural relaxation. The functional is PBE.

```
Ho2ZnGa
1.0
0.000 3.547 3.547
3.547 0.000 3.547
3.547 3.547 0.000
Ho Zn Ga
2 1 1
direct
0.250 0.250 0.250
0.750 0.750 0.750
0.000 0.000 0.000
0.500 0.500 0.500
```

## Properties
Electronic total energy = -15.4 eV for the cell shown

(3)
This record from the Materials Project describes Ga2I3 after structural relaxation. The functional is PBE.

```
Ga2I3
1.0
7.755 0.000 0.000
0.000 8.814 0.000
-7.479 0.000 11.485
Ga I
8 12
direct
0.127 0.097 0.058
0.127 0.403 0.558
0.222 0.628 0.269
0.222 0.872 0.769
0.778 0.128 0.231
0.778 0.372 0.731
0.873 0.597 0.442
0.873 0.903 0.942
0.064 0.670 0.919
0.064 0.830 0.419
0.311 0.199 0.956
0.311 0.301 0.456
0.412 0.509 0.765
0.412 0.991 0.265
0.588 0.009 0.735
0.588 0.491 0.235
0.689 0.699 0.544
0.689 0.801 0.044
0.936 0.170 0.581
0.936 0.330 0.081
```

## Properties
Electronic total energy = -51.1 eV for the cell shown

(4)
This record from the Materials Project describes K3GaI6 after structural relaxation. The functional is PBE.

```
K3GaI6
1.0
0.000 6.145 6.145
6.145 0.000 6.145
6.145 6.145 0.000
K Ga I
3 1 6
direct
0.000 0.000 0.000
0.250 0.250 0.250
0.750 0.750 0.750
0.500 0.500 0.500
0.272 0.272 0.728
0.272 0.728 0.272
0.272 0.728 0.728
0.728 0.272 0.272
0.728 0.272 0.728
0.728 0.728 0.272
```

## Properties
Magnetic moment = 0.00 μB/f.u.
Electronic total energy = -24.9 eV for the cell shown

(5)
This record from the Materials Project describes KRb2GaI6 after structural relaxation. The functional is PBE.

```
KRb2GaI6
1.0
0.000 6.184 6.184
6.184 0.000 6.184
6.184 6.184 0.000
K Rb Ga I
1 2 1 6
direct
0.000 0.000 0.000
0.250 0.250 0.250
0.750 0.750 0.750
0.500 0.500 0.500
0.273 0.273 0.727
0.273 0.727 0.273
0.273 0.727 0.727
0.727 0.273 0.273
0.727 0.273 0.727
0.727 0.727 0.273
```

## Properties
Magnetic moment = 0.00 μB/f.u.
Electronic total energy = -25.1 eV for the cell shown

(6)
This record from the Materials Project describes K2TlGaI6 after structural relaxation. The functional is PBE.

```
K2TlGaI6
1.0
0.000 6.112 6.112
6.112 0.000 6.112
6.112 6.112 0.000
K Tl Ga I
2 1 1 6
direct
0.250 0.250 0.250
0.750 0.750 0.750
0.000 0.000 0.000
0.500 0.500 0.500
0.269 0.269 0.731
0.269 0.731 0.269
0.269 0.731 0.731
0.731 0.269 0.269
0.731 0.269 0.731
0.731 0.731 0.269
```

## Properties
Magnetic moment = 0.00 μB/f.u.
Electronic total energy = -24.8 eV for the cell shown

(7)
This record from the Materials Project describes Rb2TlGaI6 after structural relaxation. The functional is PBE.

```
Rb2TlGaI6
1.0
0.000 6.135 6.135
6.135 0.000 6.135
6.135 6.135 0.000
Rb Tl Ga I
2 1 1 6
direct
0.250 0.250 0.250
0.750 0.750 0.750
0.000 0.000 0.000
0.500 0.500 0.500
0.269 0.269 0.731
0.269 0.731 0.269
0.269 0.731 0.731
0.731 0.269 0.269
0.731 0.269 0.731
0.731 0.731 0.269
```

## Properties
Magnetic moment = 0.00 μB/f.u.
Electronic total energy = -25.0 eV for the cell shown

(8)
This record from the Materials Project describes Ga3Te3I after structural relaxation. The functional is PBE.

```
Ga3Te3I
1.0
11.622 0.000 0.000
0.000 4.170 0.000
0.000 0.000 20.947
Ga Te I
12 12 4
direct
0.056 0.250 0.095
0.169 0.250 0.630
0.171 0.250 0.996
0.329 0.750 0.496
0.331 0.750 0.130
0.444 0.750 0.595
0.556 0.250 0.405
0.669 0.250 0.870
0.671 0.250 0.504
0.829 0.750 0.004
0.831 0.750 0.370
0.944 0.750 0.905
0.084 0.250 0.877
0.179 0.250 0.502
0.222 0.250 0.185
0.278 0.750 0.685
0.321 0.750 0.002
0.416 0.750 0.377
0.584 0.250 0.623
0.679 0.250 0.998
0.722 0.250 0.315
0.778 0.750 0.815
0.821 0.750 0.498
0.916 0.750 0.123
0.042 0.750 0.334
0.458 0.250 0.834
0.542 0.750 0.166
0.958 0.250 0.666
```

## Properties
Electronic total energy = -91.7 eV for the cell shown

Which value of electronic total energy does entry 6 give? -24.8 eV for the cell shown

Look up the electronic total energy of the fifth one. -25.1 eV for the cell shown

Repeat the second record exactly.
This record from the Materials Project describes Ho2ZnGa after structural relaxation. The functional is PBE.

```
Ho2ZnGa
1.0
0.000 3.547 3.547
3.547 0.000 3.547
3.547 3.547 0.000
Ho Zn Ga
2 1 1
direct
0.250 0.250 0.250
0.750 0.750 0.750
0.000 0.000 0.000
0.500 0.500 0.500
```

## Properties
Electronic total energy = -15.4 eV for the cell shown

Among the records above, which one has the lowest electronic total energy? Ga3Te3I